No. 1
The following is a DFT calculation (meta-GGA r2SCAN) of an optimized crystal structure of Ni2Ge.

Output
Electronic total energy (eV per atom): -12.87
Symmetry: No. 62
ΔE_f (eV per atom): -0.260

The structure in POSCAR format:
```
Ni2Ge
1.0
5.096 0.000 0.000
0.000 3.788 0.000
0.000 0.000 7.179
Ni Ge
8 4
direct
0.045 0.250 0.207
0.171 0.250 0.560
0.329 0.750 0.060
0.455 0.750 0.707
0.545 0.250 0.293
0.671 0.250 0.940
0.829 0.750 0.440
0.955 0.750 0.793
0.213 0.250 0.886
0.287 0.750 0.386
0.713 0.250 0.614
0.787 0.750 0.114
```

---

No. 2
The following is a DFT calculation (meta-GGA r2SCAN) of an optimized crystal structure of Ni5Ge2.

Output
Electronic total energy (eV per atom): -12.76
Symmetry: No. 185
ΔE_f (eV per atom): -0.239

The structure in POSCAR format:
```
Ni5Ge2
1.0
6.739 0.000 0.000
-3.369 5.836 0.000
0.000 0.000 12.244
Ni Ge
30 12
direct
0.000 0.000 0.000
0.000 0.000 0.500
0.000 0.276 0.328
0.000 0.307 0.122
0.000 0.370 0.525
0.000 0.371 0.734
0.000 0.629 0.234
0.000 0.630 0.025
0.000 0.693 0.622
0.000 0.724 0.828
0.276 0.000 0.328
0.276 0.276 0.828
0.307 0.000 0.122
0.307 0.307 0.622
0.333 0.667 0.357
0.333 0.667 0.857
0.370 0.000 0.525
0.370 0.370 0.025
0.371 0.000 0.734
0.371 0.371 0.234
0.629 0.000 0.234
0.629 0.629 0.734
0.630 0.000 0.025
0.630 0.630 0.525
0.667 0.333 0.357
0.667 0.333 0.857
0.693 0.000 0.622
0.693 0.693 0.122
0.724 0.000 0.828
0.724 0.724 0.328
0.000 0.000 0.206
0.000 0.000 0.706
0.000 0.330 0.929
0.000 0.670 0.429
0.330 0.000 0.929
0.330 0.330 0.429
0.333 0.667 0.149
0.333 0.667 0.649
0.667 0.333 0.149
0.667 0.333 0.649
0.670 0.000 0.429
0.670 0.670 0.929
```

---

No. 3
The following is a DFT calculation (meta-GGA r2SCAN) of an optimized crystal structure of NiGe2.

Output
Electronic total energy (eV per atom): -13.33
Symmetry: No. 64
ΔE_f (eV per atom): -0.092

The structure in POSCAR format:
```
NiGe2
1.0
5.418 -2.863 0.000
5.418 2.863 0.000
0.000 0.000 5.741
Ni Ge
4 8
direct
0.115 0.115 0.000
0.385 0.385 0.500
0.615 0.615 0.500
0.885 0.885 0.000
0.005 0.495 0.250
0.155 0.845 0.657
0.345 0.655 0.157
0.495 0.005 0.750
0.505 0.995 0.250
0.655 0.345 0.843
0.845 0.155 0.343
0.995 0.505 0.750
```

---

No. 4
The following is a DFT calculation (meta-GGA r2SCAN) of an optimized crystal structure of Ni2Ge.

Output
Electronic total energy (eV per atom): -12.84
Symmetry: No. 194
ΔE_f (eV per atom): -0.233

The structure in POSCAR format:
```
Ni2Ge
1.0
3.980 0.000 0.000
-1.990 3.447 0.000
0.000 0.000 5.024
Ni Ge
4 2
direct
0.000 0.000 0.000
0.000 0.000 0.500
0.333 0.667 0.250
0.667 0.333 0.750
0.333 0.667 0.750
0.667 0.333 0.250
```

---

No. 5
The following is a DFT calculation (meta-GGA r2SCAN) of an optimized crystal structure of NpNi2Ge2.

Output
Electronic total energy (eV per atom): -27.48
Symmetry: No. 139
ΔE_f (eV per atom): -0.538

The structure in POSCAR format:
```
NpNi2Ge2
1.0
-2.017 2.017 4.930
2.017 -2.017 4.930
2.017 2.017 -4.930
Np Ni Ge
1 2 2
direct
0.000 0.000 0.000
0.250 0.750 0.500
0.750 0.250 0.500
0.371 0.371 0.000
0.629 0.629 0.000
```

---

No. 6
The following is a DFT calculation (meta-GGA r2SCAN) of an optimized crystal structure of PaNi2Ge.

Output
Electronic total energy (eV per atom): -29.04
Symmetry: No. 225
ΔE_f (eV per atom): -0.367

The structure in POSCAR format:
```
PaNi2Ge
1.0
0.000 3.154 3.154
3.154 0.000 3.154
3.154 3.154 0.000
Pa Ni Ge
1 2 1
direct
0.000 0.000 0.000
0.250 0.250 0.250
0.750 0.750 0.750
0.500 0.500 0.500
```

---

No. 7
The following is a DFT calculation (meta-GGA r2SCAN) of an optimized crystal structure of PrNiGe2.

Output
Electronic total energy (eV per atom): -18.07
Symmetry: No. 63
ΔE_f (eV per atom): -0.785

The structure in POSCAR format:
```
PrNiGe2
1.0
2.139 -8.367 0.000
2.139 8.367 0.000
0.000 0.000 4.204
Pr Ni Ge
2 2 4
direct
0.108 0.892 0.750
0.892 0.108 0.250
0.317 0.683 0.750
0.683 0.317 0.250
0.250 0.750 0.250
0.457 0.543 0.750
0.543 0.457 0.250
0.750 0.250 0.750
```

---

No. 8
The following is a DFT calculation (meta-GGA r2SCAN) of an optimized crystal structure of Pr3NiGe2.

Output
Electronic total energy (eV per atom): -22.11
Symmetry: No. 62
ΔE_f (eV per atom): -0.783

The structure in POSCAR format:
```
Pr3NiGe2
1.0
11.884 0.000 0.000
0.000 4.299 0.000
0.000 0.000 11.867
Pr Ni Ge
12 4 8
direct
0.061 0.250 0.128
0.117 0.750 0.556
0.216 0.250 0.804
0.284 0.750 0.304
0.383 0.250 0.056
0.439 0.750 0.628
0.561 0.250 0.372
0.617 0.750 0.944
0.716 0.250 0.696
0.784 0.750 0.196
0.883 0.250 0.444
0.939 0.750 0.872
0.128 0.250 0.367
0.372 0.750 0.867
0.628 0.250 0.133
0.872 0.750 0.633
0.025 0.750 0.312
0.198 0.750 0.992
0.302 0.250 0.492
0.475 0.250 0.812
0.525 0.750 0.188
0.698 0.750 0.508
0.802 0.250 0.008
0.975 0.250 0.688
```